No. 1
## Re3Se2Br5 (GGA-PBE)

Data for a geometry-optimized Re3Se2Br5 structure.

Cell lengths 9.891, 9.902, 13.134 Å; angles 84.22, 83.30, 82.80 degrees
Fractional positions:
Re 0.000 0.000 0.000
Re 0.019 0.027 0.712
Re 0.110 0.841 0.854
Re 0.173 0.094 0.851
Re 0.327 0.540 0.416
Re 0.456 0.442 0.243
Re 0.491 0.690 0.292
Re 0.529 0.336 0.425
Re 0.564 0.581 0.472
Re 0.693 0.484 0.301
Re 0.846 0.933 0.861
Re 0.909 0.186 0.858
Se 0.060 0.239 0.989
Se 0.250 0.915 0.986
Se 0.369 0.772 0.456
Se 0.406 0.438 0.585
Se 0.650 0.254 0.257
Se 0.754 0.383 0.475
Se 0.769 0.112 0.725
Se 0.958 0.788 0.722
Br 0.037 0.048 0.518
Br 0.076 0.283 0.709
Br 0.081 0.577 0.491
Br 0.245 0.607 0.851
Br 0.258 0.651 0.233
Br 0.284 0.931 0.707
Br 0.292 0.294 0.363
Br 0.381 0.347 0.092
Br 0.390 0.205 0.837
Br 0.466 0.929 0.204
Br 0.554 0.094 0.511
Br 0.612 0.589 0.119
Br 0.629 0.823 0.875
Br 0.639 0.680 0.623
Br 0.726 0.735 0.343
Br 0.736 0.096 0.005
Br 0.773 0.420 0.861
Br 0.939 0.448 0.223
Br 0.943 0.744 0.003
Br 0.982 0.980 0.195

## Properties
Calculated volume ... 31.6 Å³ per atom
Excess energy over the best structure of this formula in the dataset ... 0.0 meV/atom
Formation energy from the elements ... -0.7332 eV/atom

=====

No. 2
## Re3Se7Br7 (GGA-PBE)

Data for a geometry-optimized Re3Se7Br7 structure.

Cell lengths 9.873, 9.873, 24.651 Å; angles 90.00, 90.00, 120.00 degrees
Fractional positions:
Re 0.028 0.853 0.000
Re 0.147 0.175 0.000
Re 0.157 0.521 0.238
Re 0.175 0.147 0.500
Re 0.363 0.843 0.238
Re 0.479 0.637 0.238
Re 0.521 0.157 0.738
Re 0.637 0.479 0.738
Re 0.825 0.972 0.000
Re 0.843 0.363 0.738
Re 0.853 0.028 0.500
Re 0.972 0.825 0.500
Se 0.000 0.000 0.077
Se 0.000 0.000 0.577
Se 0.034 0.208 0.427
Se 0.052 0.325 0.512
Se 0.063 0.722 0.225
Se 0.160 0.702 0.311
Se 0.174 0.966 0.427
Se 0.208 0.034 0.927
Se 0.273 0.948 0.512
Se 0.278 0.341 0.225
Se 0.298 0.457 0.311
Se 0.325 0.052 0.012
Se 0.333 0.667 0.160
Se 0.341 0.278 0.725
Se 0.457 0.298 0.811
Se 0.543 0.840 0.311
Se 0.659 0.937 0.225
Se 0.667 0.333 0.660
Se 0.675 0.727 0.512
Se 0.702 0.160 0.811
Se 0.722 0.063 0.725
Se 0.727 0.675 0.012
Se 0.792 0.826 0.427
Se 0.826 0.792 0.927
Se 0.840 0.543 0.811
Se 0.937 0.659 0.725
Se 0.948 0.273 0.012
Se 0.966 0.174 0.927
Br 0.000 0.000 0.338
Br 0.000 0.000 0.838
Br 0.034 0.386 0.662
Br 0.040 0.684 0.079
Br 0.086 0.662 0.946
Br 0.090 0.421 0.795
Br 0.316 0.356 0.079
Br 0.331 0.910 0.795
Br 0.333 0.667 0.400
Br 0.338 0.425 0.946
Br 0.352 0.966 0.662
Br 0.356 0.316 0.579
Br 0.386 0.034 0.162
Br 0.421 0.090 0.295
Br 0.425 0.338 0.446
Br 0.575 0.914 0.946
Br 0.579 0.669 0.795
Br 0.614 0.648 0.662
Br 0.644 0.960 0.079
Br 0.648 0.614 0.162
Br 0.662 0.086 0.446
Br 0.667 0.333 0.900
Br 0.669 0.579 0.295
Br 0.684 0.040 0.579
Br 0.910 0.331 0.295
Br 0.914 0.575 0.446
Br 0.960 0.644 0.579
Br 0.966 0.352 0.162

## Properties
Calculated volume ... 30.6 Å³ per atom
Formation energy from the elements ... -0.5498 eV/atom

=====

No. 3
## Re3Se2Br5 (GGA-PBE)

Data for a geometry-optimized Re3Se2Br5 structure.

Cell lengths 10.745, 10.795, 15.369 Å; angles 86.07, 86.49, 78.48 degrees
Fractional positions:
Re 0.000 0.000 0.000
Re 0.014 0.664 0.714
Re 0.191 0.827 0.991
Re 0.322 0.245 0.352
Re 0.382 0.470 0.367
Re 0.459 0.277 0.480
Re 0.485 0.346 0.239
Re 0.566 0.144 0.347
Re 0.617 0.369 0.363
Re 0.818 0.839 0.730
Re 0.962 0.803 0.600
Re 0.976 0.792 0.073
Se 0.115 0.917 0.131
Se 0.150 0.621 0.015
Se 0.227 0.380 0.476
Se 0.408 0.067 0.458
Se 0.497 0.500 0.115
Se 0.713 0.239 0.238
Se 0.801 0.974 0.076
Se 0.827 0.035 0.767
Br 0.088 0.961 0.585
Br 0.127 0.155 0.331
Br 0.171 0.013 0.873
Br 0.211 0.699 0.763
Br 0.236 0.441 0.245
Br 0.302 0.702 0.351
Br 0.415 0.843 0.997
Br 0.436 0.117 0.213
Br 0.445 0.252 0.644
Br 0.513 0.506 0.494
Br 0.612 0.819 0.686
Br 0.614 0.425 0.988
Br 0.690 0.923 0.328
Br 0.704 0.165 0.477
Br 0.800 0.475 0.354
Br 0.828 0.646 0.104
Br 0.835 0.667 0.851
Br 0.869 0.702 0.495
Br 0.946 0.235 0.990
Br 0.982 0.462 0.675

## Properties
Calculated volume ... 43.5 Å³ per atom
Excess energy over the best structure of this formula in the dataset ... 294.8 meV/atom
Formation energy from the elements ... -0.4384 eV/atom

=====

No. 4
## Re3Te7Br7 (GGA-PBE)

Data for a geometry-optimized Re3Te7Br7 structure.

Cell lengths 13.328, 13.328, 13.328 Å; angles 46.94, 46.94, 46.94 degrees
Fractional positions:
Re 0.057 0.166 0.873
Re 0.127 0.943 0.834
Re 0.166 0.873 0.057
Re 0.834 0.127 0.943
Re 0.873 0.057 0.166
Re 0.943 0.834 0.127
Te 0.018 0.237 0.652
Te 0.094 0.094 0.094
Te 0.133 0.400 0.689
Te 0.237 0.652 0.018
Te 0.311 0.867 0.600
Te 0.348 0.982 0.763
Te 0.400 0.689 0.133
Te 0.600 0.311 0.867
Te 0.652 0.018 0.237
Te 0.689 0.133 0.400
Te 0.763 0.348 0.982
Te 0.867 0.600 0.311
Te 0.906 0.906 0.906
Te 0.982 0.763 0.348
Br 0.036 0.450 0.151
Br 0.151 0.036 0.450
Br 0.293 0.632 0.698
Br 0.302 0.707 0.368
Br 0.363 0.363 0.363
Br 0.368 0.302 0.707
Br 0.450 0.151 0.036
Br 0.550 0.849 0.964
Br 0.632 0.698 0.293
Br 0.637 0.637 0.637
Br 0.698 0.293 0.632
Br 0.707 0.368 0.302
Br 0.849 0.964 0.550
Br 0.964 0.550 0.849

## Properties
Calculated volume ... 34.0 Å³ per atom
Formation energy from the elements ... -0.5118 eV/atom